A plane-wave DFT calculation with PBE was carried out for a relaxed structure of K17In41.

- E_tot (eV per cell) = -281.2
- calculated formation energy (eV/atom) = -0.154

Structure (extended XYZ):
```
116
Lattice="0.000 12.266 12.266 12.266 0.000 12.266 12.266 12.266 0.000" Properties=species:S:1:pos:R:3 pbc="T T T"
K 10.719 7.680 3.176
K 10.719 3.176 7.680
K 15.223 7.680 7.680
K 3.067 3.067 3.067
K 19.065 11.600 11.600
K 5.467 5.467 5.467
K 12.932 12.932 5.467
K 12.932 5.467 12.932
K 7.680 10.719 3.176
K 7.680 3.176 10.719
K 15.223 10.719 10.719
K 13.813 13.813 9.309
K 16.852 16.852 9.309
K 13.813 9.309 13.813
K 21.356 16.852 13.813
K 16.852 9.309 16.852
K 21.356 13.813 16.852
K 3.176 10.719 7.680
K 7.680 15.223 7.680
K 3.176 7.680 10.719
K 10.719 15.223 10.719
K 7.680 7.680 15.223
K 10.719 10.719 15.223
K 9.309 13.813 13.813
K 16.852 21.356 13.813
K 16.852 13.813 21.356
K 11.600 19.065 11.600
K 11.600 11.600 19.065
K 19.065 19.065 19.065
K 5.467 12.932 12.932
K 21.466 21.466 21.466
K 9.309 16.852 16.852
K 13.813 21.356 16.852
K 13.813 16.852 21.356
In 8.152 8.152 0.188
In 10.247 10.247 0.188
In 8.152 0.188 8.152
In 18.211 10.247 8.152
In 10.247 0.188 10.247
In 18.211 8.152 10.247
In 7.070 7.070 2.810
In 11.329 11.329 2.810
In 7.070 2.810 7.070
In 15.589 11.329 7.070
In 11.329 2.810 11.329
In 15.589 7.070 11.329
In 11.179 7.220 7.220
In 16.380 14.285 6.322
In 16.380 6.322 14.285
In 24.344 14.285 14.285
In 17.462 13.203 8.943
In 17.462 8.943 13.203
In 21.722 13.203 13.203
In 8.113 8.113 5.867
In 10.286 10.286 5.867
In 8.113 5.867 8.113
In 12.533 10.286 8.113
In 10.286 5.867 10.286
In 12.533 8.113 10.286
In 14.285 16.380 6.322
In 14.285 6.322 16.380
In 24.344 16.380 16.380
In 9.200 9.200 9.200
In 16.420 14.246 12.000
In 16.420 12.000 14.246
In 18.666 14.246 14.246
In 5.867 8.113 8.113
In 10.286 12.533 8.113
In 10.286 8.113 12.533
In 7.220 11.179 7.220
In 7.220 7.220 11.179
In 11.179 11.179 11.179
In 2.810 7.070 7.070
In 11.329 15.589 7.070
In 11.329 7.070 15.589
In 13.203 17.462 8.943
In 13.203 8.943 17.462
In 21.722 17.462 17.462
In 13.353 13.353 13.353
In 17.313 17.313 13.353
In 17.313 13.353 17.313
In 14.246 16.420 12.000
In 14.246 12.000 16.420
In 18.666 16.420 16.420
In 5.867 10.286 10.286
In 8.113 12.533 10.286
In 8.113 10.286 12.533
In 15.333 15.333 15.333
In 0.188 8.152 8.152
In 10.247 18.211 8.152
In 10.247 8.152 18.211
In 12.000 16.420 14.246
In 14.246 18.666 14.246
In 12.000 14.246 16.420
In 16.420 18.666 16.420
In 14.246 14.246 18.666
In 16.420 16.420 18.666
In 2.810 11.329 11.329
In 7.070 15.589 11.329
In 7.070 11.329 15.589
In 0.188 10.247 10.247
In 8.152 18.211 10.247
In 8.152 10.247 18.211
In 13.353 17.313 17.313
In 8.943 17.462 13.203
In 13.203 21.722 13.203
In 8.943 13.203 17.462
In 17.462 21.722 17.462
In 13.203 13.203 21.722
In 17.462 17.462 21.722
In 6.322 16.380 14.285
In 14.285 24.344 14.285
In 6.322 14.285 16.380
In 16.380 24.344 16.380
In 14.285 14.285 24.344
In 16.380 16.380 24.344
```



A plane-wave DFT calculation with PBE was carried out for a relaxed structure of K8In11.

- E_tot (eV per cell) = -83.9
- calculated formation energy (eV/atom) = -0.146

Structure (extended XYZ):
```
38
Lattice="5.067 2.925 17.153 -5.067 2.925 17.153 0.000 -5.850 17.153" Properties=species:S:1:pos:R:3 pbc="T T T"
K 0.000 0.000 4.083
K -1.161 -2.599 18.264
K -3.396 -0.620 26.841
K -1.161 -3.251 24.618
K -1.670 2.305 18.264
K -2.832 -0.294 33.195
K -2.235 2.631 24.618
K 0.000 0.000 21.646
K 0.000 0.000 29.813
K 2.235 -2.631 26.841
K 2.832 0.294 18.264
K 1.670 -2.305 33.195
K 1.161 3.251 26.841
K 3.396 0.620 24.618
K 1.161 2.599 33.195
K 0.000 0.000 47.376
In -3.670 -0.344 19.867
In -2.130 0.000 12.865
In -3.530 -0.425 23.015
In 0.000 0.000 10.299
In -1.397 -3.269 28.444
In 1.065 -1.845 12.865
In -1.537 -3.350 31.592
In 0.000 0.000 15.430
In 2.133 -3.006 19.867
In 1.065 1.845 12.865
In 2.133 -2.845 23.015
In -2.133 2.845 28.444
In -1.065 -1.845 38.594
In -2.133 3.006 31.592
In 0.000 0.000 36.029
In 1.537 3.350 19.867
In -1.065 1.845 38.594
In 1.397 3.269 23.015
In 0.000 0.000 41.160
In 3.530 0.425 28.444
In 2.130 0.000 38.594
In 3.670 0.344 31.592
```